Compound: Dy2MgSe4
Source: the Materials Project
Functional: PBE
Structure: relaxed

## Properties
Formation enthalpy at 0 K: -1.9611 eV/atom
Space group: Fd-3m (227)
Relative energy among the computed polymorphs: 0 meV per atom

Cell: 8.275 8.275 8.275 Å, 60.00 60.00 60.00°
Atoms (fractional coordinates):
Dy (0.625, 0.125, 0.625)
Dy (0.625, 0.625, 0.125)
Dy (0.125, 0.625, 0.625)
Dy (0.625, 0.625, 0.625)
Mg (0.000, 0.000, 0.000)
Mg (0.250, 0.250, 0.250)
Se (0.380, 0.380, 0.380)
Se (0.861, 0.380, 0.380)
Se (0.380, 0.861, 0.380)
Se (0.380, 0.380, 0.861)
Se (0.870, 0.870, 0.389)
Se (0.870, 0.389, 0.870)
Se (0.389, 0.870, 0.870)
Se (0.870, 0.870, 0.870)